10
Lattice="3.074 5.311 0.000 -3.074 5.311 0.000 0.000 3.572 5.079" Properties=species:S:1:pos:R:3 comment="PBE-GGA Ba2LaTaO6, relaxed" total_energy_ev_per_atom=-8.13 ef_ev_per_atom=-3.51 magnetic_moment_mub_per_cell=0.00 spacegroup=C2/m pbc="T T T"
O 0.000 5.739 4.039
O 0.000 8.455 1.040
O 1.423 6.025 1.582
O 1.423 8.170 3.497
O -1.423 6.025 1.582
O -1.423 8.170 3.497
Ta 0.000 7.097 2.540
Ba 0.000 3.560 1.315
Ba 0.000 10.634 3.764
La 0.000 0.000 0.000



19
Lattice="1.071 8.647 4.699 -4.630 7.555 4.414 -1.371 4.952 8.462" Properties=species:S:1:pos:R:3 comment="PBE-GGA Ba3LaTa3O12, relaxed" total_energy_ev_per_atom=-8.59 ef_ev_per_atom=-3.47 magnetic_moment_mub_per_cell=0.00 spacegroup=R3m pbc="T T T"
O -4.467 12.447 11.603
O -2.550 10.480 10.860
O -0.489 8.755 6.025
O -1.575 13.001 11.747
O -3.228 14.322 9.694
O -3.608 8.892 8.625
O -1.341 12.310 8.997
O -1.717 6.897 7.917
O -0.772 9.436 8.767
O -4.164 11.769 8.856
O -2.393 10.731 6.753
O -3.356 8.206 5.882
Ta -4.927 21.139 17.564
Ta -2.842 12.192 10.130
Ta -2.087 8.956 7.441
Ba -0.656 2.816 2.340
Ba -1.420 6.093 5.062
Ba -3.502 15.026 12.485
La -4.210 18.064 15.009